Entry from Materials Project: a geometry-optimized TiO2 structure (PBE).

Cell and atoms, written as POSCAR:
```
TiO2
1.0
-0.749 3.334 -3.675
-2.164 -2.936 3.446
0.505 7.623 6.812
Ti O
4 8
Direct
0.133 0.867 0.083
0.867 0.133 0.917
0.133 0.867 0.417
0.867 0.133 0.583
0.754 0.246 0.397
0.246 0.754 0.603
0.246 0.754 0.897
0.754 0.246 0.103
0.066 0.934 0.250
0.934 0.066 0.750
0.500 0.500 0.000
0.500 0.500 0.500
```

Results
The space group is No. 63. The calculation puts the formation energy at -3.35 eV/atom.